Computed, not measured: a relaxed NaNbO3 crystal at the GGA-PBE level of DFT.

Cell: 5.6539 23.8052 5.6137 Å, 90.00 90.00 90.00°
With the nearest neighbours (Å) after each atom.
Atoms (fractional coordinates):
Na 0.0053 0.2500 0.0114  3 O 2.42-2.46
Na 0.0173 0.0844 0.0038  6 O 2.49-2.75
Na 0.0173 0.4156 0.0038  6 O 2.49-2.75
Na 0.4827 0.5844 0.5038  6 O 2.49-2.75
Na 0.4827 0.9156 0.5038  6 O 2.49-2.75
Na 0.4947 0.7500 0.5114  3 O 2.42-2.46
Na 0.5053 0.2500 0.4886  3 O 2.42-2.46
Na 0.5173 0.0844 0.4962  6 O 2.49-2.75
Na 0.5173 0.4156 0.4962  6 O 2.49-2.75
Na 0.9827 0.5844 0.9962  6 O 2.49-2.75
Na 0.9827 0.9156 0.9962  6 O 2.49-2.75
Na 0.9947 0.7500 0.9886  3 O 2.42-2.46
Nb 0.0000 0.0000 0.5000  6 O 2.00-2.02
Nb 0.0000 0.5000 0.5000  6 O 2.00-2.02
Nb 0.0219 0.1667 0.5059  4 O 1.91-2.01
Nb 0.0219 0.3333 0.5059  4 O 1.91-2.01
Nb 0.4781 0.6667 0.0059  4 O 1.91-2.01
Nb 0.4781 0.8333 0.0059  4 O 1.91-2.01
Nb 0.5000 0.0000 0.0000  6 O 2.00-2.02
Nb 0.5000 0.5000 0.0000  6 O 2.00-2.02
Nb 0.5219 0.1667 0.9941  4 O 1.91-2.01
Nb 0.5219 0.3333 0.9941  4 O 1.91-2.01
Nb 0.9781 0.6667 0.4941  4 O 1.91-2.01
Nb 0.9781 0.8333 0.4941  4 O 1.91-2.01
O 0.0058 0.7500 0.5498  2 Nb 2.01
O 0.0120 0.5837 0.4474  2 Nb 2.00-2.02
O 0.0120 0.9163 0.4474  2 Nb 2.00-2.02
O 0.1988 0.1750 0.7944  1 Nb 1.91
O 0.1988 0.3250 0.7944  1 Nb 1.91
O 0.2177 0.6588 0.7925  1 Nb 1.91
O 0.2177 0.8412 0.7925  1 Nb 1.91
O 0.2439 0.0095 0.2445  2 Nb 2.00-2.01
O 0.2439 0.4905 0.2445  2 Nb 2.00-2.01
O 0.2561 0.5095 0.7445  2 Nb 2.00-2.01
O 0.2561 0.9905 0.7445  2 Nb 2.00-2.01
O 0.2823 0.1588 0.2925  1 Nb 1.91
O 0.2823 0.3412 0.2925  1 Nb 1.91
O 0.3012 0.6750 0.2944  1 Nb 1.91
O 0.3012 0.8250 0.2944  1 Nb 1.91
O 0.4880 0.0837 0.9474  2 Nb 2.00-2.02
O 0.4880 0.4163 0.9474  2 Nb 2.00-2.02
O 0.4942 0.2500 0.0498  2 Nb 2.01
O 0.5058 0.7500 0.9502  2 Nb 2.01
O 0.5120 0.5837 0.0526  2 Nb 2.00-2.02
O 0.5120 0.9163 0.0526  2 Nb 2.00-2.02
O 0.6988 0.1750 0.7056  1 Nb 1.91
O 0.6988 0.3250 0.7056  1 Nb 1.91
O 0.7177 0.6588 0.7075  1 Nb 1.91
O 0.7177 0.8412 0.7075  1 Nb 1.91
O 0.7439 0.0095 0.2555  2 Nb 2.00-2.01
O 0.7439 0.4905 0.2555  2 Nb 2.00-2.01
O 0.7561 0.5095 0.7555  2 Nb 2.00-2.01
O 0.7561 0.9905 0.7555  2 Nb 2.00-2.01
O 0.7823 0.1588 0.2075  1 Nb 1.91
O 0.7823 0.3412 0.2075  1 Nb 1.91
O 0.8012 0.6750 0.2056  1 Nb 1.91
O 0.8012 0.8250 0.2056  1 Nb 1.91
O 0.9880 0.0837 0.5526  2 Nb 2.00-2.02
O 0.9880 0.4163 0.5526  2 Nb 2.00-2.02
O 0.9942 0.2500 0.4502  2 Nb 2.01

SG: Pnma (62)
Calculated formation energy, eV/atom: -2.82
Energy, eV/cell: -459.88

***

Computed, not measured: a relaxed Gd3MnGaS7 crystal at the GGA-PBE level of DFT.

Cell: 9.8298 9.8298 6.0878 Å, 90.00 90.00 120.00°
With the nearest neighbours (Å) after each atom.
Atoms (fractional coordinates):
Gd 0.1406 0.3757 0.0000  7 S 2.78-2.93
Gd 0.2351 0.8594 0.0000  7 S 2.78-2.93
Gd 0.3757 0.2351 0.5000  7 S 2.78-2.93
Gd 0.6243 0.7649 0.0000  7 S 2.78-2.93
Gd 0.7649 0.1406 0.5000  7 S 2.78-2.93
Gd 0.8594 0.6243 0.5000  7 S 2.78-2.93
Mn 0.0000 0.0000 0.2827  6 S 2.47-2.67
Mn 0.0000 0.0000 0.7827  6 S 2.47-2.67
Ga 0.3333 0.6667 0.4265  4 S 2.25-2.29
Ga 0.6667 0.3333 0.9265  4 S 2.25-2.29
S 0.0934 0.5786 0.2649  1 Ga 2.29
S 0.0944 0.2410 0.5613  2 Mn 2.47-2.67
S 0.1466 0.9056 0.5613  2 Mn 2.47-2.67
S 0.2410 0.1466 0.0613  2 Mn 2.47-2.67
S 0.3333 0.6667 0.7962  1 Ga 2.25
S 0.4214 0.5148 0.2649  1 Ga 2.29
S 0.4852 0.9066 0.2649  1 Ga 2.29
S 0.5148 0.0934 0.7649  1 Ga 2.29
S 0.5786 0.4852 0.7649  1 Ga 2.29
S 0.6667 0.3333 0.2962  1 Ga 2.25
S 0.7590 0.8534 0.5613  2 Mn 2.47-2.67
S 0.8534 0.0944 0.0613  2 Mn 2.47-2.67
S 0.9056 0.7590 0.0613  2 Mn 2.47-2.67
S 0.9066 0.4214 0.7649  1 Ga 2.29

SG: P6_3 (173)
Calculated formation energy, eV/atom: -1.83
Energy, eV/cell: -203.71

***

Computed, not measured: a relaxed Na7Nb2In2Si5PO24 crystal at the GGA-PBE level of DFT.

Cell: 9.1919 9.2024 22.4189 Å, 89.99 89.92 60.09°
With the nearest neighbours (Å) after each atom.
Atoms (fractional coordinates):
Na 0.0000 0.0000 0.0000  4 O 2.35-2.56
Na 0.0000 0.2654 0.4985  3 O 2.34-2.48
Na 0.0329 0.6124 0.7468  4 O 2.36-2.55
Na 0.0372 0.6284 0.2480  6 O 2.40-2.67
Na 0.0483 0.2771 0.8337  4 O 2.36-2.55
Na 0.3211 0.6661 0.8320  4 O 2.36-2.56
Na 0.3263 0.2752 0.3335  4 O 2.38-2.58
Na 0.3294 0.9622 0.4132  3 O 2.32-2.54
Na 0.3455 0.9574 0.9139  6 O 2.44-2.67
Na 0.3795 0.6062 0.5029  4 O 2.35-2.54
Na 0.3828 0.2726 0.0000  4 O 2.40-2.55
Na 0.6571 0.9982 0.4979  4 O 2.33-2.53
Na 0.6612 0.6051 0.9982  4 O 2.35-2.52
Na 0.6646 0.3066 0.0823  5 O 2.41-2.58
Na 0.6669 0.2908 0.5826  6 O 2.43-2.67
Na 0.6690 0.9300 0.8306  4 O 2.35-2.63
Na 0.6765 0.6611 0.3268  4 O 2.34-2.58
Na 0.7139 0.9439 0.1658  4 O 2.39-2.49
Na 0.7179 0.5998 0.6659  4 O 2.38-2.47
Na 0.9851 0.9428 0.6653  5 O 2.37-2.60
Na 0.9862 0.3369 0.1658  5 O 2.40-2.62
Nb 0.0114 0.6265 0.4002  6 O 1.96-2.19
Nb 0.0151 0.6247 0.9001  6 O 1.98-2.07
Nb 0.3547 0.9539 0.0668  6 O 1.96-2.12
Nb 0.3554 0.9552 0.5668  6 O 1.96-2.11
Nb 0.6747 0.2908 0.7337  5 O 1.92-2.05
Nb 0.6849 0.2881 0.2336  6 O 1.98-2.11
In 0.0190 0.6213 0.1055  6 O 2.05-2.27
In 0.0196 0.6211 0.6047  6 O 2.05-2.28
In 0.3443 0.9604 0.2720  6 O 2.08-2.24
In 0.3489 0.9561 0.7705  6 O 2.06-2.20
In 0.6805 0.2890 0.9373  6 O 2.08-2.20
In 0.6853 0.2873 0.4369  6 O 2.07-2.21
Si 0.0172 0.3274 0.0063  4 O 1.61-1.70
Si 0.0175 0.9172 0.5070  4 O 1.61-1.69
Si 0.3073 0.3295 0.5026  4 O 1.59-1.69
Si 0.3075 0.6264 0.0039  4 O 1.59-1.69
Si 0.3515 0.6568 0.6725  4 O 1.61-1.71
Si 0.3516 0.2550 0.1733  4 O 1.61-1.71
Si 0.3818 0.2940 0.8394  4 O 1.61-1.70
Si 0.6414 0.6595 0.1735  4 O 1.60-1.70
Si 0.6444 0.9603 0.6728  4 O 1.61-1.69
Si 0.6855 0.5836 0.8380  4 O 1.61-1.68
Si 0.6869 0.9908 0.3384  4 O 1.61-1.69
Si 0.7183 0.6253 0.5060  4 O 1.60-1.69
Si 0.7199 0.9169 0.0067  4 O 1.60-1.68
Si 0.9744 0.9936 0.8384  4 O 1.61-1.68
Si 0.9793 0.2916 0.3399  4 O 1.61-1.70
P 0.0495 0.2495 0.6718  4 O 1.53-1.58
P 0.0532 0.9625 0.1711  4 O 1.50-1.60
P 0.3846 0.5813 0.3383  4 O 1.53-1.59
O 0.0125 0.8197 0.1674  1 P 1.54
O 0.0151 0.4299 0.6682  1 P 1.53
O 0.0410 0.4311 0.9480  1 Si 1.70
O 0.0421 0.7849 0.4504  1 Si 1.69
O 0.1391 0.1723 0.7310  1 P 1.54
O 0.1419 0.9811 0.1138  1 P 1.58
O 0.1512 0.1365 0.6172  1 P 1.58
O 0.1508 0.9449 0.2271  1 P 1.50
O 0.1645 0.9616 0.8336  1 Si 1.62
O 0.1682 0.1343 0.3359  1 Si 1.62
O 0.1884 0.6522 0.9430  1 Si 1.69
O 0.1890 0.4204 0.4416  1 Si 1.69
O 0.1890 0.4391 0.1684  1 Si 1.61
O 0.1894 0.6346 0.6675  1 Si 1.61
O 0.1979 0.1457 0.0093  1 Si 1.67
O 0.1976 0.9200 0.5099  1 Si 1.67
O 0.2037 0.4755 0.8406  1 Si 1.66
O 0.2143 0.5822 0.3381  1 P 1.56
O 0.2272 0.5825 0.0591  1 Si 1.59
O 0.2277 0.4547 0.5576  1 Si 1.59
O 0.3061 0.1489 0.5103  1 Si 1.68
O 0.3061 0.8084 0.0101  1 Si 1.67
O 0.3310 0.1731 0.2338  1 Si 1.61
O 0.3309 0.7592 0.7332  1 Si 1.61
O 0.3438 0.1412 0.8321  1 Si 1.62
O 0.3605 0.7573 0.3318  1 P 1.53
O 0.3696 0.1244 0.1158  1 Si 1.71
O 0.3705 0.7686 0.6153  1 Si 1.71
O 0.4784 0.5088 0.3969  1 P 1.53
O 0.4876 0.2593 0.8999  1 Si 1.61
O 0.4916 0.4590 0.2853  1 P 1.59
O 0.4930 0.3125 0.7824  1 Si 1.70
O 0.4990 0.4731 0.9994  1 Si 1.62
O 0.4997 0.2906 0.4985  1 Si 1.62
O 0.5187 0.7633 0.1141  1 Si 1.70
O 0.5227 0.9778 0.6137  1 Si 1.69
O 0.5294 0.7744 0.8344  1 Si 1.62
O 0.5296 0.9560 0.3354  1 Si 1.63
O 0.5339 0.2540 0.1745  1 Si 1.67
O 0.5338 0.4767 0.6740  1 Si 1.67
O 0.5362 0.9178 0.0086  1 Si 1.68
O 0.5378 0.8095 0.5088  1 Si 1.68
O 0.5577 0.7647 0.2330  1 Si 1.60
O 0.5613 0.9418 0.7333  1 Si 1.61
O 0.6539 0.1010 0.3977  1 Si 1.61
O 0.6565 0.5049 0.8978  1 Si 1.61
O 0.6609 0.1323 0.6745  1 Si 1.66
O 0.6606 0.4697 0.1764  1 Si 1.67
O 0.6741 0.4764 0.5001  1 Si 1.62
O 0.6836 0.1074 0.0022  1 Si 1.62
O 0.7024 0.0949 0.2788  1 Si 1.69
O 0.7075 0.4608 0.7792  1 Si 1.68
O 0.8232 0.6457 0.4476  1 Si 1.69
O 0.8228 0.7931 0.9482  1 Si 1.68
O 0.8233 0.8396 0.0670  1 Si 1.60
O 0.8266 0.5920 0.5657  1 Si 1.60
O 0.8281 0.6383 0.1698  1 Si 1.63
O 0.8298 0.7942 0.6696  1 Si 1.63
O 0.8519 0.0990 0.7802  1 Si 1.68
O 0.8536 0.3082 0.2820  1 Si 1.70
O 0.8611 0.2939 0.9999  1 Si 1.62
O 0.8619 0.1064 0.4997  1 Si 1.62
O 0.8642 0.8070 0.3424  1 Si 1.67
O 0.8660 0.5850 0.8418  1 Si 1.67
O 0.8778 0.2496 0.6712  1 P 1.58
O 0.8791 0.1353 0.1737  1 P 1.60
O 0.8947 0.2872 0.4021  1 Si 1.61
O 0.8984 0.0976 0.8990  1 Si 1.61
O 0.9744 0.8127 0.8405  1 Si 1.67
O 0.9802 0.4362 0.0662  1 Si 1.61
O 0.9800 0.8485 0.5676  1 Si 1.61
O 0.9829 0.4732 0.3389  1 Si 1.69

SG: P1 (1)
Calculated formation energy, eV/atom: -2.74
Energy, eV/cell: -845.95

***

Computed, not measured: a relaxed MgSb3P3O13 crystal at the GGA-PBE level of DFT.

Cell: 8.2218 6.9883 11.0748 Å, 90.00 102.25 90.00°
With the nearest neighbours (Å) after each atom.
Atoms (fractional coordinates):
Mg 0.0720 0.2500 0.1610  3 O 1.97-2.13
Mg 0.9280 0.7500 0.8390  3 O 1.97-2.13
Sb 0.1515 0.2500 0.7634  2 O 2.02-2.16
Sb 0.2664 0.7500 0.4329  2 O 2.03-2.15
Sb 0.5000 0.0000 0.0000  6 O 2.28-2.33
Sb 0.5000 0.5000 0.0000  6 O 2.28-2.33
Sb 0.7336 0.2500 0.5671  2 O 2.03-2.15
Sb 0.8485 0.7500 0.2366  2 O 2.02-2.16
P 0.1822 0.7500 0.1001  4 O 1.55-1.56
P 0.2282 0.7500 0.7625  4 O 1.51-1.57
P 0.3035 0.2500 0.4801  4 O 1.55-1.58
P 0.6965 0.7500 0.5199  4 O 1.55-1.58
P 0.7718 0.2500 0.2375  4 O 1.51-1.57
P 0.8178 0.2500 0.8999  4 O 1.55-1.56
O 0.0027 0.7500 0.0201  1 P 1.55
O 0.1122 0.5792 0.7822  1 P 1.57
O 0.1122 0.9208 0.7822  1 P 1.57
O 0.1641 0.7500 0.2377  1 P 1.56
O 0.1888 0.2500 0.5763  1 P 1.57
O 0.2697 0.0732 0.3940  1 P 1.55
O 0.2697 0.4268 0.3940  1 P 1.55
O 0.2726 0.5603 0.0808  1 P 1.56
O 0.2726 0.9397 0.0808  1 P 1.56
O 0.2843 0.7500 0.6414  1 P 1.51
O 0.3730 0.2500 0.8841  1 Sb 2.02
O 0.3900 0.7500 0.8680  1 P 1.57
O 0.4855 0.2500 0.5617  1 P 1.58
O 0.5145 0.7500 0.4383  1 P 1.58
O 0.6100 0.2500 0.1320  1 P 1.57
O 0.6270 0.7500 0.1159  1 Sb 2.02
O 0.7157 0.2500 0.3586  1 P 1.51
O 0.7274 0.0603 0.9192  1 P 1.56
O 0.7274 0.4397 0.9192  1 P 1.56
O 0.7303 0.5732 0.6060  1 P 1.55
O 0.7303 0.9268 0.6060  1 P 1.55
O 0.8112 0.7500 0.4237  1 P 1.57
O 0.8359 0.2500 0.7623  1 P 1.56
O 0.8878 0.0792 0.2178  1 P 1.57
O 0.8878 0.4208 0.2178  1 P 1.57
O 0.9973 0.2500 0.9799  1 P 1.55

SG: P2_1/m (11)
Calculated formation energy, eV/atom: -2.29
Energy, eV/cell: -263.02

***

Computed, not measured: a relaxed LaCuPb crystal at the GGA-PBE level of DFT.

Cell: 4.6840 4.6840 8.1269 Å, 90.00 90.00 120.00°
With the nearest neighbours (Å) after each atom.
Atoms (fractional coordinates):
La 0.0000 0.0000 0.0000  6 Cu 3.38, 6 Pb 3.38
La 0.0000 0.0000 0.5000  6 Pb 3.38, 6 Cu 3.38
Cu 0.3333 0.6667 0.2500  3 Pb 2.70
Cu 0.6667 0.3333 0.7500  3 Pb 2.70
Pb 0.3333 0.6667 0.7500  3 Cu 2.70
Pb 0.6667 0.3333 0.2500  3 Cu 2.70

SG: P6_3/mmc (194)
Calculated formation energy, eV/atom: -0.41
Energy, eV/cell: -27.93